# 1
Computed, not measured: crystalline LiSbTe3O12 at its relaxed geometry at the PBE level of DFT.

Values from the calculation:
distance to the lowest polymorph of the same formula	28.3	meV/atom
calculated total energy	-92.796	eV/cell

Lattice parameters (Å, degrees): 5.118 5.350 7.409 86.70 90.00 89.97
Fractional coordinates of all 17 atoms:
Li 0.000 0.000 0.000
Sb 0.997 0.566 0.778
Te 0.497 0.070 0.778
Te 0.500 0.067 0.287
Te 0.999 0.562 0.287
O 0.132 0.567 0.527
O 0.187 0.251 0.850
O 0.188 0.880 0.219
O 0.305 0.772 0.853
O 0.307 0.372 0.214
O 0.365 0.064 0.531
O 0.628 0.074 0.036
O 0.670 0.385 0.721
O 0.687 0.755 0.353
O 0.814 0.249 0.349
O 0.819 0.898 0.735
O 0.879 0.586 0.040

=====

# 2
Computed, not measured: crystalline LiSbTe3O12 at its relaxed geometry at the PBE level of DFT.

Values from the calculation:
distance to the lowest polymorph of the same formula	0.0	meV/atom
calculated total energy	-93.276	eV/cell

Lattice parameters (Å, degrees): 4.952 8.503 5.254 90.00 90.47 90.00
Fractional coordinates of all 17 atoms:
Li 0.000 0.000 0.000
Sb 0.500 0.100 0.500
Te 0.000 0.597 0.000
Te 0.000 0.782 0.500
Te 0.500 0.286 0.000
O 0.204 0.772 0.822
O 0.207 0.616 0.318
O 0.238 0.940 0.357
O 0.253 0.447 0.861
O 0.284 0.121 0.822
O 0.290 0.268 0.305
O 0.710 0.268 0.695
O 0.716 0.121 0.178
O 0.747 0.447 0.139
O 0.762 0.940 0.643
O 0.793 0.616 0.682
O 0.796 0.772 0.178

=====

# 3
Computed, not measured: crystalline LiSbTe3O12 at its relaxed geometry at the PBE level of DFT.

Values from the calculation:
distance to the lowest polymorph of the same formula	28.6	meV/atom
calculated total energy	-92.790	eV/cell

Lattice parameters (Å, degrees): 5.118 5.335 7.401 86.59 89.85 89.99
Fractional coordinates of all 17 atoms:
Li 0.000 0.000 0.000
Sb 0.498 0.921 0.217
Te 0.496 0.918 0.708
Te 0.997 0.424 0.706
Te 0.999 0.425 0.213
O 0.122 0.404 0.956
O 0.167 0.102 0.259
O 0.180 0.736 0.642
O 0.309 0.233 0.640
O 0.313 0.596 0.273
O 0.369 0.916 0.955
O 0.631 0.920 0.468
O 0.686 0.606 0.778
O 0.700 0.230 0.139
O 0.812 0.105 0.775
O 0.818 0.733 0.143
O 0.860 0.419 0.461

=====

# 4
Computed, not measured: crystalline Li2Ti2Sb2O at its relaxed geometry at the PBE level of DFT.

Values from the calculation:
calculated total energy	-40.849	eV/cell

Lattice parameters (Å, degrees): 7.972 7.972 7.972 150.28 150.28 42.53
Fractional coordinates of all 7 atoms:
Li 0.171 0.171 0.000
Li 0.829 0.829 0.000
Ti 0.000 0.500 0.500
Ti 0.500 0.000 0.500
Sb 0.361 0.361 0.000
Sb 0.639 0.639 0.000
O 0.000 0.000 0.000

=====

Respective DFT formation energy values: -1.541 -1.569 -1.541 -1.246 eV per atom.